## Ta9Ni2S6 (r2SCAN)

Data for Ta9Ni2S6 after structural relaxation.

space-group type: P-62m, No. 189
ΔE_f: -821 meV per atom
total magnetization: 0.000 μB/f.u.

a b c (Å): 10.1498 10.1498 3.3863
angles (deg): 90.00 90.00 120.00
Closest atoms and distances in Å follow each position.
Fractional coordinates of all 17 atoms:
Ta: 0.7372 0.1988 0.5000  3 S 2.39-2.52, 2 Ni 2.49
Ta: 0.8012 0.5384 0.5000  3 S 2.39-2.52, 2 Ni 2.49
Ta: 0.4616 0.2628 0.5000  3 S 2.39-2.52, 2 Ni 2.49
Ta: 0.2628 0.4616 0.5000  3 S 2.39-2.52, 2 Ni 2.49
Ta: 0.5384 0.8012 0.5000  3 S 2.39-2.52, 2 Ni 2.49
Ta: 0.1988 0.7372 0.5000  3 S 2.39-2.52, 2 Ni 2.49
Ta: 0.0000 0.4541 0.0000  3 S 2.51-2.54
Ta: 0.5459 0.5459 0.0000  3 S 2.51-2.54
Ta: 0.4541 0.0000 0.0000  3 S 2.51-2.54
Ni: 0.6667 0.3333 0.0000  6 Ta 2.49
Ni: 0.3333 0.6667 0.0000  6 Ta 2.49
S: 0.0000 0.7040 0.0000  5 Ta 2.52-2.54
S: 0.2960 0.2960 0.0000  5 Ta 2.52-2.54
S: 0.7040 0.0000 0.0000  5 Ta 2.52-2.54
S: 0.0000 0.2715 0.5000  4 Ta 2.39-2.51
S: 0.7285 0.7285 0.5000  4 Ta 2.39-2.51
S: 0.2715 0.0000 0.5000  4 Ta 2.39-2.51



## Ta2Ni3S8 (r2SCAN)

Data for Ta2Ni3S8 after structural relaxation.

space-group type: Pbam, No. 55
ΔE_f: -851 meV per atom
total magnetization: 0.000 μB/f.u.

a b c (Å): 3.3283 10.2847 14.2332
angles (deg): 90.00 90.00 90.00
Closest atoms and distances in Å follow each position.
Fractional coordinates of all 26 atoms:
Ta: 0.5000 0.1932 0.1236  6 S 2.40-2.48
Ta: 0.5000 0.6932 0.3764  6 S 2.40-2.48
Ta: 0.5000 0.3068 0.6236  6 S 2.40-2.48
Ta: 0.5000 0.8068 0.8764  6 S 2.40-2.48
Ni: 0.0000 0.3577 0.2295  5 S 2.24-2.34
Ni: 0.0000 0.6423 0.7705  5 S 2.24-2.34
Ni: 0.0000 0.0000 0.0000  4 S 2.20-2.21
Ni: 0.0000 0.8577 0.2705  5 S 2.24-2.34
Ni: 0.0000 0.1423 0.7295  5 S 2.24-2.34
Ni: 0.0000 0.5000 0.5000  4 S 2.20-2.21
S: 0.0000 0.9811 0.8454  2 Ni 2.21-2.34
S: 0.5000 0.7377 0.2106  2 Ni 2.24, 1 Ta 2.40
S: 0.5000 0.7623 0.7106  2 Ni 2.24, 1 Ta 2.40
S: 0.0000 0.5189 0.3454  2 Ni 2.21-2.34
S: 0.5000 0.2377 0.2894  2 Ni 2.24, 1 Ta 2.40
S: 0.0000 0.7140 0.5024  1 Ni 2.20, 2 Ta 2.46
S: 0.0000 0.2140 0.9976  1 Ni 2.20, 2 Ta 2.46
S: 0.5000 0.5725 0.8631  2 Ni 2.24, 1 Ta 2.42
S: 0.0000 0.2860 0.4976  1 Ni 2.20, 2 Ta 2.46
S: 0.5000 0.4275 0.1369  2 Ni 2.24, 1 Ta 2.42
S: 0.5000 0.0725 0.6369  2 Ni 2.24, 1 Ta 2.42
S: 0.0000 0.0189 0.1546  2 Ni 2.21-2.34
S: 0.5000 0.9275 0.3631  2 Ni 2.24, 1 Ta 2.42
S: 0.0000 0.7860 0.0024  1 Ni 2.20, 2 Ta 2.46
S: 0.5000 0.2623 0.7894  2 Ni 2.24, 1 Ta 2.40
S: 0.0000 0.4811 0.6546  2 Ni 2.21-2.34



## Ti3NiS6 (r2SCAN)

Data for Ti3NiS6 after structural relaxation.

space-group type: P-31c, No. 163
ΔE_f: -1370 meV per atom
total magnetization: 0.297 μB/f.u.

a b c (Å): 5.8963 5.8963 11.3861
angles (deg): 90.00 90.00 120.00
Closest atoms and distances in Å follow each position.
Fractional coordinates of all 20 atoms:
Ti: 0.6667 0.3333 0.4939  6 S 2.42-2.46
Ti: 0.6667 0.3333 0.0061  6 S 2.42-2.46
Ti: 0.3333 0.6667 0.5060  6 S 2.42-2.46
Ti: 0.3333 0.6667 0.9940  6 S 2.42-2.46
Ti: 0.0000 0.0000 0.5000  6 S 2.44
Ti: 0.0000 0.0000 0.0000  6 S 2.44
Ni: 0.6667 0.3333 0.7500  6 S 2.40
Ni: 0.3333 0.6667 0.2500  6 S 2.40
S: 0.6691 0.6633 0.8736  1 Ni 2.40, 3 Ti 2.42-2.46
S: 0.3367 0.0058 0.8736  1 Ni 2.40, 3 Ti 2.42-2.46
S: 0.9942 0.3309 0.8736  1 Ni 2.40, 3 Ti 2.42-2.46
S: 0.3367 0.3310 0.6264  1 Ni 2.40, 3 Ti 2.42-2.46
S: 0.9942 0.6633 0.6264  1 Ni 2.40, 3 Ti 2.42-2.46
S: 0.6690 0.0058 0.6264  1 Ni 2.40, 3 Ti 2.42-2.46
S: 0.3310 0.3367 0.1264  1 Ni 2.40, 3 Ti 2.42-2.46
S: 0.6633 0.9942 0.1264  1 Ni 2.40, 3 Ti 2.42-2.46
S: 0.3310 0.9942 0.3736  1 Ni 2.40, 3 Ti 2.42-2.46
S: 0.0058 0.3367 0.3736  1 Ni 2.40, 3 Ti 2.42-2.46
S: 0.6633 0.6690 0.3736  1 Ni 2.40, 3 Ti 2.42-2.46
S: 0.0058 0.6690 0.1264  1 Ni 2.40, 3 Ti 2.42-2.46



## Ti3NiS6 (r2SCAN)

Data for Ti3NiS6 after structural relaxation.

space-group type: R-3, No. 148
ΔE_f: -1371 meV per atom
total magnetization: 0.280 μB/f.u.

a b c (Å): 6.6288 6.6288 6.6288
angles (deg): 52.82 52.82 52.82
Closest atoms and distances in Å follow each position.
Fractional coordinates of all 10 atoms:
Ti: 0.6710 0.6710 0.6710  6 S 2.41-2.46
Ti: 0.3290 0.3290 0.3290  6 S 2.41-2.46
Ti: 0.0000 0.0000 0.0000  6 S 2.44
Ni: 0.5000 0.5000 0.5000  6 S 2.40
S: 0.0902 0.7476 0.4149  1 Ni 2.40, 3 Ti 2.41-2.46
S: 0.7476 0.4149 0.0902  1 Ni 2.40, 3 Ti 2.41-2.46
S: 0.4149 0.0902 0.7476  1 Ni 2.40, 3 Ti 2.41-2.46
S: 0.9098 0.2524 0.5851  1 Ni 2.40, 3 Ti 2.41-2.46
S: 0.5851 0.9098 0.2524  1 Ni 2.40, 3 Ti 2.41-2.46
S: 0.2524 0.5851 0.9098  1 Ni 2.40, 3 Ti 2.41-2.46



## Ti4NiS8 (r2SCAN)

Data for Ti4NiS8 after structural relaxation.

space-group type: C2/m, No. 12
ΔE_f: -1396 meV per atom
total magnetization: 0.254 μB/f.u.

a b c (Å): 6.6463 6.6463 8.1694
angles (deg): 53.60 53.60 61.88
Closest atoms and distances in Å follow each position.
Fractional coordinates of all 13 atoms:
Ti: 0.2566 0.7434 0.5000  6 S 2.40-2.45
Ti: 0.7434 0.2566 0.5000  6 S 2.40-2.45
Ti: 0.2598 0.2598 0.9969  6 S 2.39-2.46
Ti: 0.7402 0.7402 0.0031  6 S 2.39-2.46
Ni: 0.0000 0.0000 0.0000  6 S 2.40-2.41
S: 0.9657 0.9657 0.3265  1 Ni 2.41, 3 Ti 2.45
S: 0.0343 0.0343 0.6735  1 Ni 2.41, 3 Ti 2.45
S: 0.4561 0.4561 0.3347  3 Ti 2.39-2.40
S: 0.5439 0.5439 0.6653  3 Ti 2.39-2.40
S: 0.0379 0.5486 0.1669  1 Ni 2.40, 3 Ti 2.42-2.46
S: 0.5486 0.0379 0.1669  1 Ni 2.40, 3 Ti 2.42-2.46
S: 0.9621 0.4514 0.8331  1 Ni 2.40, 3 Ti 2.42-2.46
S: 0.4514 0.9621 0.8331  1 Ni 2.40, 3 Ti 2.42-2.46



## Tl2Ni3S2 (r2SCAN)

Data for Tl2Ni3S2 after structural relaxation.

space-group type: R-3m, No. 166
ΔE_f: -330 meV per atom
total magnetization: 0.002 μB/f.u.

a b c (Å): 5.5967 5.5967 5.5967
angles (deg): 58.82 58.82 58.82
Closest atoms and distances in Å follow each position.
Fractional coordinates of all 7 atoms:
Tl: 0.0000 0.0000 0.0000  6 Ni 2.75
Tl: 0.5000 0.5000 0.5000  6 Ni 2.80
Ni: 0.0000 0.5000 0.5000  2 S 2.15
Ni: 0.5000 0.5000 0.0000  2 S 2.15
Ni: 0.5000 0.0000 0.5000  2 S 2.15
S: 0.7720 0.7720 0.7720  3 Ni 2.15
S: 0.2280 0.2280 0.2280  3 Ni 2.15



## V4NiS8 (r2SCAN)

Data for V4NiS8 after structural relaxation.

space-group type: C2/m, No. 12
ΔE_f: -1006 meV per atom
total magnetization: 3.991 μB/f.u.

a b c (Å): 6.5285 6.5285 7.9997
angles (deg): 54.06 54.06 62.27
Closest atoms and distances in Å follow each position.
Fractional coordinates of all 13 atoms:
V: 0.2790 0.7210 0.0000  6 S 2.31-2.46
V: 0.7210 0.2790 0.0000  6 S 2.31-2.46
V: 0.2668 0.2668 0.4707  6 S 2.34-2.46
V: 0.7332 0.7332 0.5293  6 S 2.34-2.46
Ni: 0.0000 0.0000 0.5000  6 S 2.41-2.42
S: 0.0192 0.0192 0.1793  3 V 2.40-2.46, 1 Ni 2.42
S: 0.9808 0.9808 0.8207  3 V 2.40-2.46, 1 Ni 2.42
S: 0.5533 0.5533 0.1625  3 V 2.31-2.35
S: 0.4467 0.4467 0.8375  3 V 2.31-2.35
S: 0.5409 0.0393 0.6705  3 V 2.34-2.46, 1 Ni 2.41
S: 0.9607 0.4591 0.3295  3 V 2.34-2.46, 1 Ni 2.41
S: 0.0393 0.5409 0.6705  3 V 2.34-2.46, 1 Ni 2.41
S: 0.4591 0.9607 0.3295  3 V 2.34-2.46, 1 Ni 2.41



## V2NiS4 (r2SCAN)

Data for V2NiS4 after structural relaxation.

space-group type: C2/m, No. 12
ΔE_f: -914 meV per atom
total magnetization: 0.000 μB/f.u.

a b c (Å): 6.2818 6.2818 5.8441
angles (deg): 64.93 64.93 29.82
Closest atoms and distances in Å follow each position.
Fractional coordinates of all 7 atoms:
V: 0.7418 0.7418 0.3106  6 S 2.29-2.53
V: 0.2582 0.2582 0.6894  6 S 2.29-2.53
Ni: 0.0000 0.0000 0.0000  6 S 2.36
S: 0.1083 0.1083 0.5523  3 V 2.29, 1 Ni 2.36
S: 0.3626 0.3626 0.9815  2 Ni 2.36, 3 V 2.45-2.53
S: 0.8917 0.8917 0.4477  3 V 2.29, 1 Ni 2.36
S: 0.6374 0.6374 0.0185  2 Ni 2.36, 3 V 2.45-2.53



## Zr2NiS4 (r2SCAN)

Data for Zr2NiS4 after structural relaxation.

space-group type: Cm, No. 8
ΔE_f: -1557 meV per atom
total magnetization: 0.000 μB/f.u.

a b c (Å): 6.8677 6.8677 6.3138
angles (deg): 62.69 62.69 31.14
Closest atoms and distances in Å follow each position.
Fractional coordinates of all 7 atoms:
Zr: 0.4988 0.4988 0.5063  6 S 2.53-2.60
Zr: 0.0034 0.0034 0.9901  6 S 2.57-2.64
Ni: 0.6758 0.6758 0.6563  4 S 2.19-2.29
S: 0.3738 0.3738 0.9595  3 Zr 2.53-2.59
S: 0.8728 0.8728 0.4629  1 Ni 2.29
S: 0.6264 0.6264 0.0446  1 Ni 2.22
S: 0.1314 0.1314 0.5312  2 Ni 2.19